Er4InRh: relaxed, PBE-GGA.

a b c (Å): 13.5406 13.5406 13.5406
angles (deg): 90.00 90.00 90.00
Last column: nearest neighbours and their distance in Å.
Space group F-43m (No. 216)
Asymmetric unit:
Er1 0.0000 0.0000 0.1880 x24  2 In 3.21, 2 Rh 3.45, 6 Er 3.45-3.58
Er2 0.0608 0.2500 0.2500 x24  2 Rh 2.80
Er3 0.0999 0.0999 0.5999 x16  3 Rh 2.81
In1 0.1671 0.1671 0.8329 x16  3 In 3.17, 9 Er 3.21-3.47
Rh1 0.1073 0.1073 0.3927 x16  6 Er 2.80-2.81

Calculated values
Its formation energy from the elements is -0.567 eV/atom.